## SiIr2 (PBE-GGA)

Data for a relaxed structure of SiIr2.

Unit cell a=4.0176 b=5.3272 c=7.7370 alpha=90.00 beta=90.00 gamma=90.00
Element x y z (fractional)
Ir (0.7500, 0.1594, 0.0757)
Ir (0.2500, 0.4781, 0.1994)
Ir (0.2500, 0.3406, 0.5757)
Ir (0.2500, 0.9781, 0.3006)
Ir (0.2500, 0.8406, 0.9243)
Ir (0.7500, 0.6594, 0.4243)
Ir (0.7500, 0.0219, 0.6994)
Ir (0.7500, 0.5219, 0.8006)
Si (0.2500, 0.7924, 0.6011)
Si (0.7500, 0.7076, 0.1011)
Si (0.7500, 0.2076, 0.3989)
Si (0.2500, 0.2924, 0.8989)

Properties
- total energy (eV/atom) = -8.189